# PBE with a Hubbard U Nd16Mo21O56, optimized geometry
# Formation energy, eV per atom: -2.5234
data_Nd16Mo21O56
_chemical_formula_sum 'Nd32 Mo42 O112'
_symmetry_space_group_name_H-M 'P 1 21/c 1'
_symmetry_Int_Tables_number 14
_cell_length_a 13.7887
_cell_length_b 13.7806
_cell_length_c 13.5958
_cell_angle_alpha 90.00
_cell_angle_beta 101.19
_cell_angle_gamma 90.00
loop_
_symmetry_equiv_pos_as_xyz
'x,y,z'
'-x,-y,-z'
'-x,y+1/2,-z+1/2'
'x,-y+1/2,z+1/2'
loop_
_atom_site_label
_atom_site_type_symbol
_atom_site_fract_x
_atom_site_fract_y
_atom_site_fract_z
_atom_site_occupancy
Nd1 Nd 0.1043 0.1114 0.0448 1
Nd2 Nd 0.1262 0.6692 0.6371 1
Nd3 Nd 0.1341 0.1975 0.7731 1
Nd4 Nd 0.1499 0.5863 0.3746 1
Nd5 Nd 0.3067 0.6296 0.1389 1
Nd6 Nd 0.3153 0.1889 0.5712 1
Nd7 Nd 0.3501 0.6631 0.8558 1
Nd8 Nd 0.3732 0.1217 0.2713 1
Mo1 Mo 0.0407 0.5039 0.7723 1
Mo2 Mo 0.0486 0.1434 0.4182 1
Mo3 Mo 0.0747 0.6548 0.9352 1
Mo4 Mo 0.0925 0.0105 0.5796 1
Mo5 Mo 0.2061 0.0120 0.4181 1
Mo6 Mo 0.3469 0.5591 0.5702 1
Mo7 Mo 0.3496 0.1007 0.9170 1
Mo8 Mo 0.4724 0.0816 0.7693 1
Mo9 Mo 0.4761 0.5718 0.4149 1
Mo10 Mo 0.4767 0.7238 0.5720 1
Mo11 Mo 0.5000 0.0000 0.5000 1
O1 O 0.0034 0.5062 0.6115 1
O2 O 0.0296 0.1419 0.2641 1
O3 O 0.0414 0.2096 0.9051 1
O4 O 0.0419 0.6533 0.7808 1
O5 O 0.0723 0.6961 0.4557 1
O6 O 0.0838 0.1659 0.5760 1
O7 O 0.1102 0.6465 0.0960 1
O8 O 0.1112 0.0214 0.7356 1
O9 O 0.1869 0.5180 0.7689 1
O10 O 0.1940 0.5446 0.5469 1
O11 O 0.1969 0.1607 0.4180 1
O12 O 0.2063 0.1142 0.9200 1
O13 O 0.2282 0.6352 0.9506 1
O14 O 0.2391 0.2068 0.1752 1
O15 O 0.2449 0.0277 0.5756 1
O16 O 0.2481 0.7329 0.2524 1
O17 O 0.3226 0.5497 0.4077 1
O18 O 0.3285 0.1067 0.7675 1
O19 O 0.3312 0.7121 0.5714 1
O20 O 0.3622 0.0182 0.4096 1
O21 O 0.3694 0.0988 0.0769 1
O22 O 0.3732 0.2492 0.9208 1
O23 O 0.3807 0.5584 0.7251 1
O24 O 0.4466 0.6262 0.0566 1
O25 O 0.4554 0.5668 0.2579 1
O26 O 0.4624 0.0905 0.6110 1
O27 O 0.4630 0.7193 0.4236 1
O28 O 0.4852 0.2330 0.7741 1